1.
RbNa3Li12Ti4O16 | GGA-PBE | optimized geometry

Geometry as extended XYZ:
```
36
Lattice="6.028 6.012 -1.790 -0.573 -6.784 5.417 0.369 -4.409 -7.491" Properties=species:S:1:pos:R:3 pbc="T T T"
Ti 3.186 -3.361 0.491
O 2.202 -4.223 1.787
Li 0.264 -3.880 -4.260
O 1.317 -2.647 -5.329
Li 5.361 -2.190 -2.530
O 5.365 2.252 -1.592
O 1.974 -2.175 -0.219
Ti 4.518 0.960 -0.593
Li 4.597 0.246 -6.861
Na 4.562 0.609 -3.733
O 2.683 1.060 -0.597
O 0.608 -5.882 -4.951
O 0.984 -4.528 -2.442
O 3.850 -3.005 -3.645
Li 3.026 -4.271 -2.423
Li 0.464 -2.991 -1.334
O 2.045 -0.528 -3.188
Li 2.798 -0.909 -1.441
Li 5.146 -2.260 -5.184
O 4.841 -0.653 -1.422
Li 5.560 -1.300 0.396
Na 1.262 -5.789 -0.130
O 3.622 -0.957 -5.651
Li 0.678 -2.920 1.320
Li 1.228 -5.426 2.998
Ti 2.638 -1.820 -4.355
Li 3.440 -3.311 3.157
O 4.507 -2.534 1.466
O 0.459 -7.432 -2.272
Ti 1.306 -6.141 -3.271
Na 2.728 -0.386 1.813
O 5.216 0.701 1.087
Li 2.384 -1.869 -7.021
O 3.141 -6.240 -3.267
Rb 0.000 0.000 0.000
O 3.779 -4.652 -0.676
```

Calculated values
Its space group is No. 87. The formation energy comes out at -2.645 eV/atom.

2.
Na2LiYSi6O15 | GGA-PBE | optimized geometry

Geometry as extended XYZ:
```
100
Lattice="-8.230 -2.463 7.716 -1.176 -8.956 -7.193 6.936 -5.454 5.657" Properties=species:S:1:pos:R:3 pbc="T T T"
O -3.051 -4.379 2.910
Si -3.338 -8.589 6.295
O 3.100 -9.436 3.130
Na -0.318 -14.068 1.390
Na 3.517 -12.572 -1.744
Na 4.385 -8.358 1.129
O -2.927 -10.049 6.795
O -2.649 -14.323 2.538
O 1.707 -8.427 9.037
O -4.177 -8.446 -2.857
Si -4.712 -7.342 8.854
Na -2.371 -7.618 0.542
O -6.502 -3.985 5.552
O 0.186 -6.270 6.622
O 0.178 -2.550 3.642
O -0.234 -11.610 -1.032
O 1.806 -4.536 4.466
O -4.148 -8.575 4.855
Si 1.631 -8.711 2.916
O -0.411 -10.998 9.155
Si -2.719 -4.922 8.743
O -2.656 -10.603 -0.442
O -2.081 -4.656 -0.592
O -0.523 -9.160 0.098
Li -7.104 -8.624 0.395
O 1.520 -10.508 7.402
Y -4.694 -10.505 0.481
Y 0.009 -4.795 0.220
O 2.799 -8.346 6.595
Si -2.048 -5.669 3.150
O -2.059 -5.875 -2.975
O 1.940 -4.789 1.368
O -5.270 -8.527 -0.415
Si -7.644 -10.677 2.683
O -1.581 -5.459 4.713
O -1.668 -11.157 4.033
Si -2.179 -15.123 3.906
Si 2.242 -9.531 -2.674
O -2.013 -14.175 5.185
Si 5.095 -11.710 1.107
Si 0.249 -11.951 -2.563
O -0.890 -11.414 1.467
Na -0.100 -9.255 5.638
Si -0.291 -1.750 2.274
O -4.277 -12.337 1.714
Na -6.856 -8.515 5.051
O 1.677 -8.298 1.325
O -5.571 -7.438 3.050
O -0.457 -2.698 0.995
Si 3.957 -10.645 3.858
O -3.990 -6.365 -1.222
O -0.389 -12.218 6.772
Si -4.102 -8.162 3.264
O 4.238 -5.962 2.155
O 0.581 -12.495 3.270
Si -0.422 -11.204 3.030
O -4.065 -5.832 9.048
O -2.236 -5.263 7.212
O -6.708 -10.911 4.025
O 1.883 -9.039 -1.150
O -3.861 -9.429 2.317
Y -2.480 -12.078 5.960
O -6.805 -10.404 1.348
O -4.354 -7.834 7.330
Si -1.124 -10.701 -0.004
Y 2.223 -6.368 5.699
O 4.905 -10.454 0.140
O -2.145 -7.304 11.451
O -2.894 -10.034 -4.454
O 0.456 -6.824 -0.616
Si 5.174 -6.196 3.497
O 1.792 -14.233 0.313
Si -5.575 -2.745 4.962
O 0.454 -9.821 3.240
Na -2.153 -2.805 4.790
Li -2.302 -2.795 0.128
O 1.595 -11.041 -2.868
O -0.327 -6.918 -4.596
Na -5.987 -4.301 7.923
O 0.424 -6.839 10.633
O -4.411 -12.084 4.811
O 1.390 -7.444 3.863
O 4.032 -12.888 0.628
O -2.924 -7.052 2.940
Li -3.538 -11.232 3.218
O -7.375 -6.419 6.040
O -2.143 -9.955 10.776
O -1.947 -7.713 6.082
Si -4.435 -3.808 2.212
Si -6.428 -6.228 2.322
O 4.334 -6.469 4.832
Si -7.566 -5.163 5.073
Si 3.104 -14.128 1.217
Si 1.965 -13.065 3.968
O -0.802 -5.716 2.146
Si -1.346 -6.172 6.184
Li 1.067 -5.641 2.962
O -0.326 -9.569 -5.271
O -4.263 -2.640 5.867
Si 0.867 -8.284 -0.115
```

Calculated values
Its space group is No. 64. The formation energy comes out at -3.188 eV/atom.

3.
Na5Li4Ti5O14 | GGA-PBE | optimized geometry

Geometry as extended XYZ:
```
28
Lattice="5.227 0.000 0.000 -0.939 -6.951 0.000 -1.699 0.048 -8.011" Properties=species:S:1:pos:R:3 pbc="T T T"
O 1.660 -4.671 -3.855
Ti 2.597 -2.955 -3.383
Ti -0.004 -5.863 -6.886
O -0.762 -5.744 -5.029
O 0.915 -2.154 -4.114
O 3.544 -1.247 -3.009
Na 0.891 -6.926 -3.988
Na 0.825 -5.018 -1.728
Na 1.754 -2.012 -6.370
Na 3.375 -5.938 -2.882
O -1.740 -5.127 -7.659
O 0.729 -0.203 -1.856
Ti -2.613 -6.853 -7.981
O 3.548 -3.063 -5.200
O 4.537 -1.928 -0.385
O -0.026 -0.665 -7.263
Ti -0.035 -3.952 -4.663
O 2.656 -5.993 -0.626
O -0.929 -3.789 -2.703
Li 3.418 -3.993 -0.512
Li -0.860 -2.965 -7.486
Na -0.840 -0.906 -5.148
Li 2.593 -1.037 -1.115
Li 2.619 -4.889 -5.742
O 1.700 -2.893 -1.597
O 1.633 -6.786 -6.265
Ti -0.001 -1.971 -2.163
O 0.657 -4.016 -6.554
```

Calculated values
Its space group is No. 1. The formation energy comes out at -2.844 eV/atom.